## Ti4CuAg (PBE-GGA)

Data for Ti4CuAg after structural relaxation.

Cell: 2.9526 2.9526 11.2848 Å, 90.00 90.00 90.00°
Last column: nearest neighbours and their distance in Å.
Atoms (fractional coordinates):
Ti1 0.0000 0.0000 0.1532  4 Cu 2.71, 8 Ti 2.80-2.95
Ti2 0.0000 0.0000 0.8468  4 Cu 2.71, 8 Ti 2.80-2.95
Ti3 0.5000 0.5000 0.3185  8 Ti 2.80-2.95, 4 Ag 2.92
Ti4 0.5000 0.5000 0.6815  8 Ti 2.80-2.95, 4 Ag 2.92
Cu1 0.5000 0.5000 0.0000  8 Ti 2.71, 4 Cu 2.95
Ag1 0.0000 0.0000 0.5000  8 Ti 2.92, 4 Ag 2.95

Properties
calculated formation energy	-8	kJ per mole of atoms